This record from the Materials Project describes a relaxed GdAlCu crystal. The functional is PBE.

The calculation puts the formation energy at -125 kJ/mol of formula units. The density comes out at 7.0 Mg/m³.

a b c (Å): 7.0501 7.0501 4.0995
angles (deg): 90.00 90.00 120.00
Space group P-62m (No. 189)
Asymmetric unit:
Gd: 0.0000 0.5854 0.0000 x3
Al: 0.0000 0.2324 0.5000 x3
Cu: 0.0000 0.0000 0.0000 x1
Cu: 0.3333 0.6667 0.5000 x2